Below is La3H15I10O37 after structural relaxation, with properties calculated at the GGA-PBE level.

Values from the calculation:
- energy of formation (meV per atom) = -1354
- theoretical density (g/cm3) = 4.227

Cell lengths 13.300, 12.549, 12.549 Å; angles 120.67, 90.00, 90.00 degrees
Atoms (fractional coordinates):
La1 0.000 0.000 0.000
La2 0.163 0.952 0.476
La3 0.337 0.452 0.976
La4 0.500 0.500 0.500
La5 0.663 0.976 0.452
La6 0.837 0.476 0.952
H1 0.000 0.278 0.278
H2 0.024 0.749 0.485
H3 0.047 0.725 0.962
H4 0.069 0.420 0.356
H5 0.108 0.626 0.653
H6 0.120 0.724 0.539
H7 0.143 0.764 0.914
H8 0.178 0.565 0.540
H9 0.322 0.065 0.040
H10 0.357 0.264 0.414
H11 0.380 0.224 0.039
H12 0.392 0.126 0.153
H13 0.431 0.920 0.856
H14 0.453 0.225 0.462
H15 0.476 0.249 0.985
H16 0.500 0.778 0.778
H17 0.524 0.985 0.249
H18 0.547 0.462 0.225
H19 0.569 0.856 0.920
H20 0.608 0.153 0.126
H21 0.620 0.039 0.224
H22 0.643 0.414 0.264
H23 0.678 0.040 0.065
H24 0.822 0.540 0.565
H25 0.857 0.914 0.764
H26 0.880 0.539 0.724
H27 0.892 0.653 0.626
H28 0.931 0.356 0.420
H29 0.953 0.962 0.725
H30 0.976 0.485 0.749
I1 0.079 0.621 0.145
I2 0.087 0.262 0.908
I3 0.121 0.152 0.331
I4 0.193 0.339 0.651
I5 0.248 0.908 0.757
I6 0.252 0.408 0.257
I7 0.307 0.839 0.151
I8 0.379 0.652 0.831
I9 0.413 0.762 0.408
I10 0.421 0.121 0.645
I11 0.579 0.645 0.121
I12 0.587 0.408 0.762
I13 0.621 0.831 0.652
I14 0.693 0.151 0.839
I15 0.748 0.257 0.408
I16 0.752 0.757 0.908
I17 0.807 0.651 0.339
I18 0.879 0.331 0.152
I19 0.913 0.908 0.262
I20 0.921 0.145 0.621
O1 0.000 0.357 0.357
O2 0.012 0.049 0.645
O3 0.016 0.409 0.997
O4 0.029 0.189 0.988
O5 0.071 0.782 0.935
O6 0.090 0.786 0.266
O7 0.092 0.782 0.514
O8 0.102 0.452 0.663
O9 0.112 0.198 0.562
O10 0.119 0.134 0.175
O11 0.135 0.481 0.347
O12 0.155 0.646 0.606
O13 0.159 0.960 0.883
O14 0.183 0.351 0.804
O15 0.188 0.014 0.307
O16 0.193 0.607 0.056
O17 0.203 0.317 0.000
O18 0.221 0.024 0.715
O19 0.222 0.269 0.396
O20 0.278 0.769 0.896
O21 0.279 0.524 0.215
O22 0.297 0.817 0.500
O23 0.307 0.107 0.556
O24 0.312 0.514 0.807
O25 0.317 0.851 0.304
O26 0.341 0.460 0.383
O27 0.345 0.146 0.106
O28 0.365 0.981 0.847
O29 0.381 0.634 0.675
O30 0.388 0.698 0.062
O31 0.398 0.952 0.163
O32 0.408 0.282 0.014
O33 0.410 0.286 0.766
O34 0.429 0.282 0.435
O35 0.471 0.689 0.488
O36 0.484 0.909 0.497
O37 0.488 0.549 0.145
O38 0.500 0.857 0.857
O39 0.512 0.145 0.549
O40 0.516 0.497 0.909
O41 0.529 0.488 0.689
O42 0.571 0.435 0.282
O43 0.590 0.766 0.286
O44 0.592 0.014 0.282
O45 0.602 0.163 0.952
O46 0.612 0.062 0.698
O47 0.619 0.675 0.634
O48 0.635 0.847 0.981
O49 0.655 0.106 0.146
O50 0.659 0.383 0.460
O51 0.683 0.304 0.851
O52 0.688 0.807 0.514
O53 0.693 0.556 0.107
O54 0.703 0.500 0.817
O55 0.721 0.215 0.524
O56 0.722 0.896 0.769
O57 0.778 0.396 0.269
O58 0.779 0.715 0.024
O59 0.797 0.000 0.317
O60 0.807 0.056 0.607
O61 0.812 0.307 0.014
O62 0.817 0.804 0.351
O63 0.841 0.883 0.960
O64 0.845 0.606 0.646
O65 0.865 0.347 0.481
O66 0.881 0.175 0.134
O67 0.888 0.562 0.198
O68 0.898 0.663 0.452
O69 0.908 0.514 0.782
O70 0.910 0.266 0.786
O71 0.929 0.935 0.782
O72 0.971 0.988 0.189
O73 0.984 0.997 0.409
O74 0.988 0.645 0.049